A relaxed TeMoWSeS2 crystal. Source: Materials Project, functional PBE.

Computed properties:
Uncorrected energy: -7.008 eV/atom
Energy of formation: -0.723 eV/atom
Energy relative to the lowest polymorph listed for this composition: 37 meV/atom
Crystal system: trigonal

Cell lengths 3.309, 3.309, 37.645 Å; angles 90.00, 90.00, 120.00 degrees
Element x y z (fractional)
Te (0.333, 0.667, 0.709)
Te (0.333, 0.667, 0.606)
Mo (0.333, 0.667, 0.470)
Mo (0.667, 0.333, 0.282)
W (0.333, 0.667, 0.094)
W (0.667, 0.333, 0.658)
Se (0.333, 0.667, 0.326)
Se (0.333, 0.667, 0.237)
S (0.667, 0.333, 0.053)
S (0.667, 0.333, 0.429)
S (0.667, 0.333, 0.135)
S (0.667, 0.333, 0.510)

***

A relaxed CeMg6Cr crystal. Source: Materials Project, functional PBE.

Computed properties:
Uncorrected energy: -2.930 eV/atom
Energy of formation: 0.218 eV/atom

Cell lengths 5.035, 6.522, 11.412 Å; angles 90.00, 90.00, 90.00 degrees
Element x y z (fractional)
Ce (0.000, 0.500, 0.322)
Ce (0.000, 0.000, 0.822)
Mg (0.000, 0.739, 0.078)
Mg (0.000, 0.261, 0.078)
Mg (0.000, 0.000, 0.338)
Mg (0.500, 0.241, 0.424)
Mg (0.500, 0.759, 0.424)
Mg (0.500, 0.000, 0.167)
Mg (0.000, 0.239, 0.578)
Mg (0.000, 0.761, 0.578)
Mg (0.000, 0.500, 0.838)
Mg (0.500, 0.741, 0.924)
Mg (0.500, 0.259, 0.924)
Mg (0.500, 0.500, 0.667)
Cr (0.500, 0.500, 0.168)
Cr (0.500, 0.000, 0.668)